! Mg3Si4 | the Materials Project | PBE-GGA | optimized geometry; values from VASP
&SYSTEM
  ibrav = 0, nat = 14, ntyp = 2
/
ATOMIC_SPECIES
Mg 24.30 Mg.upf
Si 28.09 Si.upf
CELL_PARAMETERS angstrom
6.0356 0.0000 0.0000
-0.8761 6.8274 0.0000
-1.7027 -3.0358 5.9856
ATOMIC_POSITIONS angstrom
Mg 0.0000 0.0000 0.0000
Mg -1.1320 4.4426 3.2770
Mg 0.1112 1.4216 3.8105
Mg 1.9317 1.9991 1.1294
Mg 1.9331 4.1015 3.2609
Mg 3.4769 4.4950 0.5099
Si 0.5153 4.4931 0.6283
Si 1.5764 -0.4375 2.3732
Si 0.3298 3.6806 5.5685
Si 1.8717 -0.6858 4.8791
Si 3.9375 0.0302 1.9663
Si 3.2292 1.6103 3.9383
Si 5.1230 2.3497 1.3032
Si 4.3019 -0.4926 4.8919
! size of the total moment	0.0	μB per formula unit
! formation energy	199	meV per atom
! calculated total energy	-3.6279	eV/atom
! distance to the lowest polymorph of the same formula	0.74	eV per formula unit
! calculated volume	247	Å³/cell

! Mg3Si4 | the Materials Project | PBE-GGA | optimized geometry; values from VASP
&SYSTEM
  ibrav = 0, nat = 14, ntyp = 2
/
ATOMIC_SPECIES
Mg 24.30 Mg.upf
Si 28.09 Si.upf
CELL_PARAMETERS angstrom
4.1267 0.0000 0.0000
-0.4786 8.0959 0.0000
-1.8797 -2.8811 7.7251
ATOMIC_POSITIONS angstrom
Mg 0.0000 0.0000 0.0000
Mg -0.0994 2.8711 1.0492
Mg 0.0389 5.2501 5.1769
Mg 0.0163 1.8866 7.4802
Mg 1.8757 3.7167 3.1698
Mg 2.0053 0.3267 5.4933
Si -0.4288 5.4457 1.9671
Si -0.0537 0.6149 3.2120
Si -0.1332 2.4746 4.7541
Si 0.1209 -0.9492 7.1910
Si 1.5095 6.8355 1.5127
Si 2.0379 1.2065 1.9011
Si 2.2862 6.5173 3.7153
Si 1.9721 3.0900 5.9073
! size of the total moment	0.0	μB per formula unit
! formation energy	161	meV per atom
! calculated total energy	-3.6655	eV/atom
! distance to the lowest polymorph of the same formula	0.47	eV per formula unit
! calculated volume	258	Å³/cell

! Mg4Si7 | the Materials Project | PBE-GGA | optimized geometry; values from VASP
&SYSTEM
  ibrav = 0, nat = 22, ntyp = 2
/
ATOMIC_SPECIES
Mg 24.30 Mg.upf
Si 28.09 Si.upf
CELL_PARAMETERS angstrom
3.9915 0.0000 0.0000
-0.1531 6.8686 0.0000
-1.6321 -3.4700 14.3415
ATOMIC_POSITIONS angstrom
Mg 0.0000 0.0000 0.0000
Mg -0.0439 2.8193 1.1295
Mg -0.1515 4.3612 3.4205
Mg 0.0836 0.2168 4.3962
Mg 0.2852 1.9810 10.3713
Mg 0.4014 -2.3275 11.6908
Mg 2.0023 0.1914 2.1723
Mg 2.3204 2.9491 7.9586
Si 0.3367 2.5985 6.2492
Si 0.3466 -1.7796 8.0591
Si 0.3818 0.4354 8.5045
Si 0.3434 -1.1830 13.7294
Si 0.3273 1.3495 13.6828
Si 1.8906 4.7892 1.4833
Si 2.0252 2.2802 3.1226
Si 1.8125 4.8463 5.0195
Si 2.2920 1.8439 5.4325
Si 2.2575 -0.8505 6.5126
Si 2.1543 4.1357 9.9725
Si 2.3872 -0.2026 9.9421
Si 2.3354 -0.2351 12.1691
Si 2.2876 2.2180 12.2561
! size of the total moment	0.0	μB per formula unit
! formation energy	510	meV per atom
! calculated total energy	-3.5691	eV/atom
! distance to the lowest polymorph of the same formula	4.01	eV per formula unit
! calculated volume	393	Å³/cell

! Mg2Si3 | the Materials Project | PBE-GGA | optimized geometry; values from VASP
&SYSTEM
  ibrav = 0, nat = 10, ntyp = 2
/
ATOMIC_SPECIES
Mg 24.30 Mg.upf
Si 28.09 Si.upf
CELL_PARAMETERS angstrom
5.7897 -1.9310 0.0000
5.7897 1.9310 0.0000
-2.6510 0.0000 8.0060
ATOMIC_POSITIONS angstrom
Mg 0.3843 0.0000 3.1935
Mg 1.6272 0.0000 0.0606
Mg 7.3011 0.0000 7.9454
Mg 8.5441 0.0000 4.8125
Si 0.7311 0.0000 5.9065
Si 3.8771 0.0000 2.8703
Si 3.1931 0.0000 6.7759
Si 5.7352 0.0000 1.2300
Si 5.0512 0.0000 5.1357
Si 8.1973 0.0000 2.0994
! size of the total moment	0.0	μB per formula unit
! formation energy	161	meV per atom
! calculated total energy	-3.7765	eV/atom
! distance to the lowest polymorph of the same formula	0.41	eV per formula unit
! calculated volume	179	Å³/cell

! Mg4Si3 | the Materials Project | PBE-GGA | optimized geometry; values from VASP
&SYSTEM
  ibrav = 0, nat = 14, ntyp = 2
/
ATOMIC_SPECIES
Mg 24.30 Mg.upf
Si 28.09 Si.upf
CELL_PARAMETERS angstrom
6.1083 0.0000 0.0000
-1.3026 6.5432 0.0000
-1.3736 -2.3947 7.0370
ATOMIC_POSITIONS angstrom
Mg 0.0000 0.0000 0.0000
Mg -1.5226 3.2126 3.9450
Mg -0.4096 3.6197 1.0284
Mg -0.1730 0.5358 5.3950
Mg 1.5548 -0.6981 3.0953
Mg 1.4883 3.0038 4.0921
Mg 2.8961 1.7021 1.5221
Mg 3.2753 5.5921 2.6231
Si -0.0363 1.3799 2.4740
Si 1.2213 -1.8576 5.6838
Si 1.3867 5.6881 0.6148
Si 3.0449 4.0291 0.2193
Si 3.4162 -0.9743 5.1280
Si 3.2625 1.4328 5.4600
! size of the total moment	0.0	μB per formula unit
! formation energy	77	meV per atom
! calculated total energy	-3.1927	eV/atom
! distance to the lowest polymorph of the same formula	0.52	eV per formula unit
! calculated volume	281	Å³/cell

! Mg2Si3 | the Materials Project | PBE-GGA | optimized geometry; values from VASP
&SYSTEM
  ibrav = 0, nat = 20, ntyp = 2
/
ATOMIC_SPECIES
Mg 24.30 Mg.upf
Si 28.09 Si.upf
CELL_PARAMETERS angstrom
5.4347 0.0000 0.0000
1.5536 5.5757 0.0000
1.8948 0.4181 12.1285
ATOMIC_POSITIONS angstrom
Mg 0.0000 0.0000 0.0000
Mg 6.5606 0.6592 6.4432
Mg 3.4671 4.8548 9.3195
Mg 3.6082 5.0025 3.5919
Mg 6.1549 4.1865 8.6069
Mg 6.8611 3.4820 12.0836
Mg 6.3360 4.4302 2.9176
Mg 7.1287 3.5602 5.8768
Si 2.2958 2.1169 9.5218
Si 2.1544 2.9385 0.9921
Si 2.7176 2.1875 3.8301
Si 3.4961 1.7334 7.4211
Si 4.4358 2.5845 10.8284
Si 4.3138 3.8639 6.6357
Si 6.0295 5.7530 10.8860
Si 3.6182 1.1730 1.8067
Si 3.9349 0.3700 5.4180
Si 5.0212 2.4464 4.6214
Si 5.4236 1.3511 8.9037
Si 6.0166 1.5603 2.3704
! size of the total moment	0.0	μB per formula unit
! formation energy	246	meV per atom
! calculated total energy	-3.6920	eV/atom
! distance to the lowest polymorph of the same formula	0.83	eV per formula unit
! calculated volume	368	Å³/cell

! Mg3Si4 | the Materials Project | PBE-GGA | optimized geometry; values from VASP
&SYSTEM
  ibrav = 0, nat = 14, ntyp = 2
/
ATOMIC_SPECIES
Mg 24.30 Mg.upf
Si 28.09 Si.upf
CELL_PARAMETERS angstrom
8.1681 -2.0463 0.0000
8.1681 2.0463 0.0000
-4.0109 0.0000 7.8259
ATOMIC_POSITIONS angstrom
Mg 0.0000 0.0000 0.0000
Mg -2.2693 0.0000 5.0691
Mg 0.3262 0.0000 3.2465
Mg 3.1218 0.0000 1.0190
Mg 10.7757 0.0000 4.2026
Mg 13.5125 0.0000 2.0027
Si 2.0280 0.0000 7.4228
Si 4.4929 0.0000 3.5605
Si 3.9078 0.0000 5.8656
Si 7.1121 0.0000 1.7935
Si 6.2306 0.0000 7.0163
Si 9.5095 0.0000 1.5854
Si 7.8375 0.0000 4.9974
Si 8.8576 0.0000 7.1730
! size of the total moment	0.0	μB per formula unit
! formation energy	139	meV per atom
! calculated total energy	-3.6876	eV/atom
! distance to the lowest polymorph of the same formula	0.32	eV per formula unit
! calculated volume	262	Å³/cell

! Mg3Si4 | the Materials Project | PBE-GGA | optimized geometry; values from VASP
&SYSTEM
  ibrav = 0, nat = 14, ntyp = 2
/
ATOMIC_SPECIES
Mg 24.30 Mg.upf
Si 28.09 Si.upf
CELL_PARAMETERS angstrom
5.9727 0.0000 0.0000
1.6837 6.5289 0.0000
0.0589 3.1583 6.6970
ATOMIC_POSITIONS angstrom
Mg 0.0000 0.0000 0.0000
Mg 1.3284 6.6115 6.4080
Mg 2.4868 6.1239 3.6938
Mg 2.7502 2.9560 3.3162
Mg 4.3086 2.4965 0.4998
Mg 6.0205 4.7161 2.1968
Si 0.5026 1.9517 2.0247
Si 3.2372 4.8278 1.3327
Si 2.6075 4.1841 5.7232
Si 4.2341 7.1262 1.7071
Si 4.9723 8.3414 6.2192
Si 5.2275 6.8883 4.2242
Si 4.8332 4.4888 4.7066
Si 5.4049 1.9799 4.1945
! size of the total moment	0.0	μB per formula unit
! formation energy	167	meV per atom
! calculated total energy	-3.6600	eV/atom
! distance to the lowest polymorph of the same formula	0.51	eV per formula unit
! calculated volume	261	Å³/cell